(w)
## AlAu4 (GGA-PBE)

Data for a geometry-optimized AlAu4 structure.

Lattice parameters (Å, degrees): 4.849 3.428 10.918 90.00 95.08 90.00
Sites, in units of the cell vectors:
Al 0.000 0.000 0.000
Al 0.500 0.500 0.000
Au 0.113 0.500 0.822
Au 0.199 0.000 0.606
Au 0.301 0.500 0.394
Au 0.387 0.000 0.178
Au 0.613 0.000 0.822
Au 0.699 0.500 0.606
Au 0.801 0.000 0.394
Au 0.887 0.500 0.178

Properties
V in Å³/cell: 180.8
Calculated density in g cm⁻³: 14.97
Total magnetization in μB/cell: 0.0
SG: C2/m (12)



(x)
## AlAu4 (GGA-PBE)

Data for a geometry-optimized AlAu4 structure.

Lattice parameters (Å, degrees): 7.055 7.055 7.055 90.00 90.00 90.00
Sites, in units of the cell vectors:
Al 0.063 0.063 0.063
Al 0.437 0.937 0.563
Al 0.563 0.437 0.937
Al 0.937 0.563 0.437
Au 0.051 0.886 0.715
Au 0.114 0.215 0.449
Au 0.183 0.817 0.317
Au 0.215 0.449 0.114
Au 0.285 0.551 0.614
Au 0.317 0.183 0.817
Au 0.386 0.785 0.949
Au 0.449 0.114 0.215
Au 0.551 0.614 0.285
Au 0.614 0.285 0.551
Au 0.683 0.683 0.683
Au 0.715 0.051 0.886
Au 0.785 0.949 0.386
Au 0.817 0.317 0.183
Au 0.886 0.715 0.051
Au 0.949 0.386 0.785

Properties
V in Å³/cell: 351.1
Calculated density in g cm⁻³: 15.42
SG: P2_13 (198)



Q: Which of them is the most stable? A: (x).



(w)
## Mg16Al12Au (GGA-PBE)

Data for a geometry-optimized Mg16Al12Au structure.

Lattice parameters (Å, degrees): 9.037 9.037 9.037 108.91 108.91 108.91
Sites, in units of the cell vectors:
Mg 0.000 0.000 0.000
Mg 0.277 0.679 0.679
Mg 0.315 0.590 0.992
Mg 0.315 0.992 0.590
Mg 0.342 0.993 0.993
Mg 0.413 0.413 0.694
Mg 0.413 0.694 0.413
Mg 0.590 0.315 0.992
Mg 0.590 0.992 0.315
Mg 0.679 0.277 0.679
Mg 0.679 0.679 0.277
Mg 0.694 0.413 0.413
Mg 0.992 0.315 0.590
Mg 0.992 0.590 0.315
Mg 0.993 0.342 0.993
Mg 0.993 0.993 0.342
Al 0.160 0.349 0.349
Al 0.181 0.181 0.801
Al 0.181 0.801 0.181
Al 0.349 0.160 0.349
Al 0.349 0.349 0.160
Al 0.629 0.813 0.997
Al 0.629 0.997 0.813
Al 0.801 0.181 0.181
Al 0.813 0.629 0.997
Al 0.813 0.997 0.629
Al 0.997 0.629 0.813
Al 0.997 0.813 0.629
Au 0.704 0.704 0.704

Properties
V in Å³/cell: 579.8
Calculated density in g cm⁻³: 2.61
Total magnetization in μB/cell: 0.0
SG: R3m (160)



(x)
## Mg16Al12Au (GGA-PBE)

Data for a geometry-optimized Mg16Al12Au structure.

Lattice parameters (Å, degrees): 8.909 9.020 9.070 108.94 108.74 108.68
Sites, in units of the cell vectors:
Mg 0.000 0.000 0.000
Mg 0.000 0.403 0.025
Mg 0.291 0.074 0.367
Mg 0.311 0.394 0.280
Mg 0.325 0.986 0.670
Mg 0.346 0.396 0.672
Mg 0.401 0.112 0.081
Mg 0.585 0.728 0.671
Mg 0.598 0.403 0.002
Mg 0.627 0.029 0.348
Mg 0.671 0.694 0.366
Mg 0.687 0.090 0.975
Mg 0.710 0.804 0.081
Mg 0.990 0.393 0.674
Mg 0.991 0.713 0.281
Mg 0.994 0.749 0.674
Al 0.001 0.032 0.501
Al 0.176 0.768 0.042
Al 0.177 0.579 0.496
Al 0.190 0.220 0.866
Al 0.360 0.764 0.853
Al 0.364 0.578 0.043
Al 0.630 0.404 0.500
Al 0.642 0.228 0.695
Al 0.808 0.396 0.315
Al 0.814 0.590 0.864
Al 0.824 0.043 0.694
Al 0.995 0.212 0.317
Au 0.331 0.733 0.336

Properties
V in Å³/cell: 574.9
Calculated density in g cm⁻³: 2.63
Total magnetization in μB/cell: 0.0
SG: P1 (1)



Q: Which of them is the most stable? A: (x).



(w)
## AlB3H14N (GGA-PBE)

Data for a geometry-optimized AlB3H14N structure.

Lattice parameters (Å, degrees): 11.276 11.406 14.824 90.00 126.88 90.00
Sites, in units of the cell vectors:
Al 0.145 0.063 0.382
Al 0.145 0.437 0.882
Al 0.316 0.668 0.583
Al 0.316 0.832 0.083
Al 0.684 0.168 0.917
Al 0.684 0.332 0.417
Al 0.855 0.563 0.118
Al 0.855 0.937 0.618
B 0.083 0.740 0.478
B 0.083 0.760 0.978
B 0.102 0.556 0.234
B 0.102 0.944 0.734
B 0.217 0.563 0.812
B 0.217 0.937 0.312
B 0.295 0.025 0.070
B 0.295 0.475 0.570
B 0.309 0.077 0.566
B 0.309 0.423 0.066
B 0.484 0.210 0.909
B 0.484 0.290 0.409
B 0.516 0.710 0.591
B 0.516 0.790 0.091
B 0.691 0.577 0.934
B 0.691 0.923 0.434
B 0.705 0.525 0.430
B 0.705 0.975 0.930
B 0.783 0.063 0.688
B 0.783 0.437 0.188
B 0.898 0.056 0.266
B 0.898 0.444 0.766
B 0.917 0.240 0.022
B 0.917 0.260 0.522
H 0.005 0.195 0.113
H 0.005 0.305 0.613
H 0.025 0.552 0.269
H 0.025 0.948 0.769
H 0.026 0.564 0.129
H 0.026 0.936 0.629
H 0.044 0.672 0.999
H 0.044 0.828 0.499
H 0.062 0.191 0.824
H 0.062 0.309 0.324
H 0.124 0.667 0.553
H 0.124 0.833 0.053
H 0.126 0.594 0.716
H 0.126 0.906 0.216
H 0.165 0.038 0.757
H 0.165 0.462 0.257
H 0.165 0.590 0.865
H 0.165 0.910 0.365
H 0.178 0.044 0.519
H 0.178 0.456 0.019
H 0.180 0.642 0.274
H 0.180 0.858 0.774
H 0.182 0.078 0.034
H 0.182 0.422 0.534
H 0.189 0.726 0.978
H 0.189 0.774 0.478
H 0.227 0.047 0.308
H 0.227 0.453 0.808
H 0.270 0.542 0.492
H 0.270 0.958 0.992
H 0.302 0.734 0.232
H 0.302 0.766 0.732
H 0.317 0.173 0.603
H 0.317 0.327 0.103
H 0.324 0.533 0.654
H 0.324 0.967 0.154
H 0.340 0.602 0.867
H 0.340 0.898 0.367
H 0.344 0.081 0.501
H 0.344 0.419 0.001
H 0.379 0.644 0.194
H 0.379 0.856 0.694
H 0.384 0.001 0.634
H 0.384 0.499 0.134
H 0.389 0.747 0.022
H 0.389 0.753 0.522
H 0.405 0.080 0.102
H 0.405 0.420 0.602
H 0.408 0.214 0.342
H 0.408 0.286 0.842
H 0.454 0.172 0.968
H 0.454 0.328 0.468
H 0.480 0.747 0.286
H 0.480 0.753 0.786
H 0.488 0.125 0.857
H 0.488 0.375 0.357
H 0.512 0.625 0.643
H 0.512 0.875 0.143
H 0.520 0.247 0.214
H 0.520 0.253 0.714
H 0.546 0.672 0.532
H 0.546 0.828 0.032
H 0.592 0.714 0.158
H 0.592 0.786 0.658
H 0.595 0.580 0.398
H 0.595 0.920 0.898
H 0.611 0.247 0.478
H 0.611 0.253 0.978
H 0.616 0.501 0.866
H 0.616 0.999 0.366
H 0.621 0.144 0.306
H 0.621 0.356 0.806
H 0.656 0.581 0.999
H 0.656 0.919 0.499
H 0.660 0.102 0.633
H 0.660 0.398 0.133
H 0.676 0.033 0.846
H 0.676 0.467 0.346
H 0.683 0.673 0.897
H 0.683 0.827 0.397
H 0.698 0.234 0.268
H 0.698 0.266 0.768
H 0.730 0.042 0.008
H 0.730 0.458 0.508
H 0.773 0.547 0.192
H 0.773 0.953 0.692
H 0.811 0.226 0.522
H 0.811 0.274 0.022
H 0.818 0.578 0.466
H 0.818 0.922 0.966
H 0.820 0.142 0.226
H 0.820 0.358 0.726
H 0.822 0.544 0.981
H 0.822 0.956 0.481
H 0.835 0.090 0.635
H 0.835 0.410 0.135
H 0.835 0.538 0.743
H 0.835 0.962 0.243
H 0.874 0.094 0.784
H 0.874 0.406 0.284
H 0.876 0.167 0.947
H 0.876 0.333 0.447
H 0.938 0.691 0.676
H 0.938 0.809 0.176
H 0.956 0.172 0.501
H 0.956 0.328 0.001
H 0.974 0.064 0.371
H 0.974 0.436 0.871
H 0.975 0.052 0.231
H 0.975 0.448 0.731
H 0.995 0.695 0.387
H 0.995 0.805 0.887
N 0.118 0.231 0.351
N 0.118 0.269 0.851
N 0.376 0.730 0.213
N 0.376 0.770 0.713
N 0.624 0.230 0.287
N 0.624 0.270 0.787
N 0.882 0.731 0.149
N 0.882 0.769 0.649

Properties
V in Å³/cell: 1525.0
Calculated density in g cm⁻³: 0.76
Total magnetization in μB/cell: 0.0
SG: P2_1/c (14)



(x)
## AlB3H14N (GGA-PBE)

Data for a geometry-optimized AlB3H14N structure.

Lattice parameters (Å, degrees): 11.071 11.632 14.838 90.00 128.29 90.00
Sites, in units of the cell vectors:
Al 0.140 0.069 0.370
Al 0.140 0.431 0.870
Al 0.322 0.667 0.581
Al 0.322 0.833 0.081
Al 0.678 0.167 0.919
Al 0.678 0.333 0.419
Al 0.860 0.569 0.130
Al 0.860 0.931 0.630
B 0.083 0.740 0.468
B 0.083 0.760 0.968
B 0.114 0.565 0.241
B 0.114 0.935 0.741
B 0.212 0.563 0.807
B 0.212 0.937 0.307
B 0.299 0.020 0.067
B 0.299 0.480 0.567
B 0.319 0.087 0.558
B 0.319 0.413 0.058
B 0.461 0.211 0.892
B 0.461 0.289 0.392
B 0.539 0.711 0.608
B 0.539 0.789 0.108
B 0.681 0.587 0.942
B 0.681 0.913 0.442
B 0.701 0.520 0.433
B 0.701 0.980 0.933
B 0.788 0.063 0.693
B 0.788 0.437 0.193
B 0.886 0.065 0.259
B 0.886 0.435 0.759
B 0.917 0.240 0.032
B 0.917 0.260 0.532
H 0.026 0.209 0.128
H 0.026 0.291 0.628
H 0.028 0.552 0.135
H 0.028 0.948 0.635
H 0.042 0.562 0.280
H 0.042 0.938 0.780
H 0.067 0.674 0.004
H 0.067 0.826 0.504
H 0.117 0.601 0.712
H 0.117 0.658 0.534
H 0.117 0.842 0.034
H 0.117 0.899 0.212
H 0.137 0.178 0.841
H 0.137 0.322 0.341
H 0.163 0.583 0.864
H 0.163 0.917 0.364
H 0.174 0.658 0.263
H 0.174 0.842 0.763
H 0.177 0.068 0.024
H 0.177 0.432 0.524
H 0.187 0.741 0.959
H 0.187 0.759 0.459
H 0.191 0.042 0.513
H 0.191 0.458 0.013
H 0.198 0.018 0.780
H 0.198 0.482 0.280
H 0.218 0.044 0.295
H 0.218 0.456 0.795
H 0.279 0.545 0.491
H 0.279 0.955 0.991
H 0.301 0.739 0.227
H 0.301 0.761 0.727
H 0.316 0.182 0.590
H 0.316 0.318 0.090
H 0.328 0.536 0.650
H 0.328 0.964 0.150
H 0.342 0.597 0.865
H 0.342 0.903 0.365
H 0.349 0.095 0.489
H 0.349 0.405 0.989
H 0.393 0.208 0.328
H 0.393 0.292 0.828
H 0.399 0.655 0.204
H 0.399 0.845 0.704
H 0.408 0.745 0.526
H 0.408 0.755 0.026
H 0.411 0.077 0.102
H 0.411 0.423 0.602
H 0.412 0.019 0.629
H 0.412 0.167 0.938
H 0.412 0.333 0.438
H 0.412 0.481 0.129
H 0.467 0.132 0.838
H 0.467 0.368 0.338
H 0.484 0.734 0.790
H 0.484 0.766 0.290
H 0.516 0.234 0.710
H 0.516 0.266 0.210
H 0.533 0.632 0.662
H 0.533 0.868 0.162
H 0.588 0.519 0.871
H 0.588 0.667 0.562
H 0.588 0.833 0.062
H 0.588 0.981 0.371
H 0.589 0.577 0.398
H 0.589 0.923 0.898
H 0.592 0.245 0.974
H 0.592 0.255 0.474
H 0.601 0.155 0.296
H 0.601 0.345 0.796
H 0.607 0.708 0.172
H 0.607 0.792 0.672
H 0.651 0.595 0.011
H 0.651 0.905 0.511
H 0.658 0.097 0.635
H 0.658 0.403 0.135
H 0.672 0.036 0.850
H 0.672 0.464 0.350
H 0.684 0.682 0.910
H 0.684 0.818 0.410
H 0.699 0.239 0.273
H 0.699 0.261 0.773
H 0.721 0.045 0.009
H 0.721 0.455 0.509
H 0.782 0.544 0.205
H 0.782 0.956 0.705
H 0.802 0.518 0.720
H 0.802 0.982 0.220
H 0.809 0.542 0.987
H 0.809 0.958 0.487
H 0.813 0.241 0.541
H 0.813 0.259 0.041
H 0.823 0.568 0.476
H 0.823 0.932 0.976
H 0.826 0.158 0.237
H 0.826 0.342 0.737
H 0.837 0.083 0.636
H 0.837 0.417 0.136
H 0.863 0.678 0.659
H 0.863 0.822 0.159
H 0.883 0.101 0.788
H 0.883 0.158 0.966
H 0.883 0.342 0.466
H 0.883 0.399 0.288
H 0.933 0.174 0.496
H 0.933 0.326 0.996
H 0.958 0.062 0.220
H 0.958 0.438 0.720
H 0.972 0.052 0.365
H 0.972 0.448 0.865
H 0.974 0.709 0.372
H 0.974 0.791 0.872
N 0.137 0.233 0.345
N 0.137 0.267 0.845
N 0.382 0.739 0.214
N 0.382 0.761 0.714
N 0.618 0.239 0.286
N 0.618 0.261 0.786
N 0.863 0.733 0.155
N 0.863 0.767 0.655

Properties
V in Å³/cell: 1499.8
Calculated density in g cm⁻³: 0.78
Total magnetization in μB/cell: 8.0
SG: P2_1/c (14)



Q: Which of them is the most stable? A: (x).